(1)
# Li4Co3Ni2Sb3O16

A geometry-optimized Li4Co3Ni2Sb3O16 structure (PBE with a Hubbard U, the Materials Project database).

Computed properties:
* corrected total energy (MP2020 scheme): -180.56 eV/cell
* final energy: -5.6990 eV per atom

Structure (POSCAR):
```
Li4Co3Ni2Sb3O16
1.0
3.004 5.108 0.000
-3.004 5.108 0.000
0.000 0.046 9.709
Co O Ni Sb Li
3 16 2 3 4
Direct
0.167 0.167 0.217 Co
0.830 0.337 0.715 Co
0.337 0.830 0.715 Co
0.031 0.477 0.331 O
0.326 0.326 0.103 O
0.005 0.005 0.810 O
0.004 0.004 0.320 O
0.962 0.511 0.835 O
0.660 0.660 0.609 O
0.477 0.031 0.331 O
0.686 0.159 0.602 O
0.843 0.314 0.107 O
0.486 0.486 0.335 O
0.515 0.515 0.826 O
0.511 0.962 0.835 O
0.159 0.686 0.602 O
0.842 0.842 0.100 O
0.162 0.162 0.613 O
0.314 0.843 0.107 O
0.330 0.330 0.511 Ni
0.656 0.656 0.975 Ni
0.662 0.166 0.216 Sb
0.830 0.830 0.715 Sb
0.166 0.662 0.216 Sb
0.331 0.331 0.865 Li
0.016 0.016 0.507 Li
0.024 0.024 0.989 Li
0.667 0.667 0.404 Li
```



(2)
# Li4Co3Ni3Sb2O16

A geometry-optimized Li4Co3Ni3Sb2O16 structure (PBE with a Hubbard U, the Materials Project database).

Computed properties:
* corrected total energy (MP2020 scheme): -178.46 eV/cell
* final energy: -5.5332 eV per atom

Structure (POSCAR):
```
Li4Co3Ni3Sb2O16
1.0
0.688 -2.659 -5.128
1.131 -5.701 -0.245
-9.259 -2.083 -0.457
O Ni Li Co Sb
16 3 4 3 2
Direct
0.844 0.844 0.406 O
0.164 0.678 0.906 O
0.678 0.164 0.906 O
0.162 0.162 0.897 O
0.666 0.666 0.883 O
0.001 0.001 0.697 O
0.006 0.006 0.198 O
0.025 0.473 0.156 O
0.843 0.332 0.405 O
0.970 0.509 0.658 O
0.517 0.517 0.666 O
0.480 0.480 0.159 O
0.329 0.329 0.382 O
0.332 0.843 0.405 O
0.473 0.025 0.156 O
0.509 0.970 0.658 O
0.169 0.663 0.286 Ni
0.832 0.832 0.787 Ni
0.663 0.169 0.286 Ni
0.663 0.663 0.099 Li
0.005 0.005 0.508 Li
0.003 0.003 0.008 Li
0.333 0.333 0.600 Li
0.171 0.171 0.285 Co
0.831 0.340 0.785 Co
0.340 0.831 0.785 Co
0.669 0.669 0.514 Sb
0.330 0.330 0.010 Sb
```



(3)
# Li4Co3Ni2Sn3O16

A geometry-optimized Li4Co3Ni2Sn3O16 structure (PBE with a Hubbard U, the Materials Project database).

Computed properties:
* corrected total energy (MP2020 scheme): -178.84 eV/cell
* final energy: -5.6374 eV per atom

Structure (POSCAR):
```
Li4Co3Ni2Sn3O16
1.0
5.961 -0.013 0.018
-2.992 5.182 0.001
0.028 0.019 9.643
O Li Sn Ni Co
16 4 3 2 3
Direct
0.822 0.143 0.106 O
0.980 0.990 0.810 O
0.505 0.969 0.334 O
0.545 0.502 0.834 O
0.311 0.156 0.088 O
0.822 0.679 0.106 O
0.505 0.536 0.334 O
0.038 0.519 0.344 O
0.545 0.042 0.834 O
0.977 0.988 0.319 O
0.969 0.485 0.820 O
0.140 0.827 0.602 O
0.693 0.346 0.608 O
0.678 0.839 0.620 O
0.139 0.312 0.602 O
0.357 0.679 0.098 O
0.358 0.679 0.885 Li
0.685 0.343 0.399 Li
0.950 0.975 0.992 Li
0.964 0.982 0.503 Li
0.172 0.834 0.214 Sn
0.341 0.171 0.715 Sn
0.172 0.339 0.214 Sn
0.667 0.334 0.987 Ni
0.329 0.665 0.494 Ni
0.835 0.664 0.714 Co
0.836 0.171 0.714 Co
0.664 0.832 0.215 Co
```



(4)
# Li4Co3Ni3Sn2O16

A geometry-optimized Li4Co3Ni3Sn2O16 structure (PBE with a Hubbard U, the Materials Project database).

Computed properties:
* corrected total energy (MP2020 scheme): -177.87 eV/cell
* final energy: -5.5121 eV per atom

Structure (POSCAR):
```
Li4Co3Ni3Sn2O16
1.0
-1.113 3.068 4.904
-3.618 -4.200 -1.589
5.309 -6.376 4.762
O Co Li Sn Ni
16 3 4 2 3
Direct
0.299 0.649 0.113 O
0.469 0.966 0.335 O
0.014 0.007 0.804 O
0.496 0.470 0.839 O
0.496 0.025 0.838 O
0.697 0.849 0.599 O
0.469 0.503 0.335 O
0.176 0.853 0.602 O
0.033 0.516 0.330 O
0.031 0.015 0.306 O
0.320 0.160 0.107 O
0.958 0.479 0.833 O
0.176 0.323 0.602 O
0.854 0.689 0.099 O
0.652 0.327 0.616 O
0.854 0.164 0.099 O
0.173 0.833 0.216 Co
0.338 0.169 0.715 Co
0.173 0.340 0.216 Co
0.004 0.002 0.495 Li
0.006 0.003 0.994 Li
0.319 0.659 0.894 Li
0.664 0.332 0.392 Li
0.340 0.670 0.492 Sn
0.666 0.333 0.993 Sn
0.830 0.663 0.715 Ni
0.829 0.167 0.715 Ni
0.663 0.832 0.214 Ni
```



(5)
# Li10Ti3Co3Ni2O16

A geometry-optimized Li10Ti3Co3Ni2O16 structure (PBE with a Hubbard U, the Materials Project database).

Computed properties:
* corrected total energy (MP2020 scheme): -230.52 eV/cell
* final energy: -6.1628 eV per atom

Structure (POSCAR):
```
Li10Ti3Co3Ni2O16
1.0
-0.723 5.700 1.671
-1.932 -4.394 3.577
8.896 -0.204 4.329
Ni O Co Li Ti
2 16 3 10 3
Direct
0.656 0.315 0.964 Ni
0.317 0.646 0.477 Ni
0.660 0.798 0.596 O
0.476 0.969 0.331 O
0.295 0.122 0.102 O
0.486 0.506 0.327 O
0.003 0.508 0.329 O
0.978 0.492 0.837 O
0.503 0.010 0.834 O
0.325 0.673 0.100 O
0.667 0.340 0.589 O
0.151 0.308 0.583 O
0.512 0.493 0.836 O
0.983 0.967 0.832 O
0.821 0.661 0.105 O
0.967 0.959 0.329 O
0.133 0.798 0.598 O
0.798 0.124 0.103 O
0.823 0.154 0.714 Co
0.147 0.318 0.213 Co
0.329 0.156 0.711 Co
0.825 0.217 0.455 Li
0.636 0.310 0.218 Li
0.973 0.980 0.016 Li
0.986 0.978 0.522 Li
0.791 0.602 0.445 Li
0.383 0.208 0.452 Li
0.194 0.823 0.924 Li
0.591 0.802 0.937 Li
0.184 0.362 0.922 Li
0.328 0.659 0.718 Li
0.141 0.801 0.209 Ti
0.646 0.824 0.225 Ti
0.816 0.638 0.714 Ti
```



(6)
# Li4Ti3Co3Ni2O16

A geometry-optimized Li4Ti3Co3Ni2O16 structure (PBE with a Hubbard U, the Materials Project database).

Computed properties:
* corrected total energy (MP2020 scheme): -203.45 eV/cell
* final energy: -6.5166 eV per atom

Structure (POSCAR):
```
Li4Ti3Co3Ni2O16
1.0
-5.431 0.470 1.876
-3.942 -3.830 -1.739
2.091 -5.624 7.552
O Co Li Ti Ni
16 3 4 3 2
Direct
0.480 0.480 0.332 O
0.004 0.004 0.314 O
0.161 0.161 0.616 O
0.474 0.031 0.333 O
0.850 0.323 0.109 O
0.683 0.164 0.606 O
0.841 0.841 0.102 O
0.961 0.509 0.832 O
0.515 0.515 0.822 O
0.031 0.474 0.333 O
0.003 0.003 0.811 O
0.323 0.850 0.109 O
0.662 0.662 0.605 O
0.509 0.961 0.832 O
0.164 0.683 0.606 O
0.335 0.335 0.100 O
0.336 0.829 0.714 Co
0.829 0.336 0.714 Co
0.169 0.169 0.213 Co
0.014 0.014 0.996 Li
0.326 0.326 0.890 Li
0.011 0.011 0.499 Li
0.659 0.659 0.397 Li
0.166 0.659 0.215 Ti
0.828 0.828 0.715 Ti
0.659 0.166 0.215 Ti
0.667 0.667 0.987 Ni
0.335 0.335 0.491 Ni
```



(7)
# Li3Co13O16

A geometry-optimized Li3Co13O16 structure (PBE with a Hubbard U, the Materials Project database).

Computed properties:
* corrected total energy (MP2020 scheme): -220.86 eV/cell
* final energy: -5.8928 eV per atom

Structure (POSCAR):
```
Li3Co13O16
1.0
4.656 2.120 -0.633
-2.421 5.458 0.343
1.215 -1.717 9.679
Li Co O
3 13 16
Direct
0.373 0.062 0.747 Li
0.000 0.500 0.500 Li
0.627 0.938 0.253 Li
0.879 0.814 0.747 Co
0.120 0.690 0.253 Co
0.253 0.372 0.999 Co
0.121 0.186 0.253 Co
0.747 0.628 0.001 Co
0.744 0.122 0.999 Co
0.370 0.560 0.746 Co
0.500 0.750 0.500 Co
0.000 0.000 0.500 Co
0.500 0.250 0.500 Co
0.630 0.440 0.254 Co
0.256 0.878 0.001 Co
0.880 0.310 0.747 Co
0.183 0.264 0.616 O
0.679 0.533 0.627 O
0.183 0.794 0.616 O
0.066 0.592 0.870 O
0.567 0.839 0.874 O
0.711 0.029 0.616 O
0.817 0.736 0.384 O
0.430 0.653 0.126 O
0.056 0.095 0.876 O
0.817 0.206 0.384 O
0.570 0.347 0.874 O
0.433 0.161 0.126 O
0.289 0.971 0.384 O
0.944 0.905 0.124 O
0.934 0.408 0.130 O
0.321 0.467 0.373 O
```



(8)
# Li10Co4O9

A geometry-optimized Li10Co4O9 structure (PBE with a Hubbard U, the Materials Project database).

Computed properties:
* corrected total energy (MP2020 scheme): -264.79 eV/cell
* final energy: -5.2026 eV per atom

Structure (POSCAR):
```
Li10Co4O9
1.0
-4.260 6.250 -0.478
-0.480 -4.401 6.365
8.820 3.351 2.686
O Li Co
18 20 8
Direct
0.120 0.045 0.258 O
0.610 0.891 0.972 O
0.921 0.659 0.479 O
0.927 0.322 0.221 O
0.684 0.887 0.279 O
0.264 0.423 0.982 O
0.223 0.738 0.226 O
0.616 0.207 0.472 O
0.390 0.109 0.028 O
0.880 0.955 0.742 O
0.073 0.678 0.779 O
0.316 0.113 0.721 O
0.079 0.341 0.521 O
0.777 0.262 0.774 O
0.423 0.467 0.284 O
0.736 0.577 0.018 O
0.384 0.793 0.528 O
0.577 0.533 0.716 O
0.511 0.926 0.377 Li
0.959 0.133 0.344 Li
0.399 0.664 0.150 Li
0.041 0.867 0.656 Li
0.761 0.468 0.628 Li
0.505 0.609 0.901 Li
0.850 0.379 0.394 Li
0.193 0.154 0.871 Li
0.495 0.391 0.099 Li
0.870 0.712 0.858 Li
0.489 0.074 0.623 Li
0.150 0.621 0.606 Li
0.349 0.919 0.873 Li
0.130 0.288 0.142 Li
0.651 0.081 0.127 Li
0.601 0.336 0.850 Li
0.239 0.532 0.372 Li
0.807 0.846 0.129 Li
0.864 0.185 0.616 Li
0.136 0.815 0.384 Li
0.930 0.528 0.132 Co
0.712 0.693 0.370 Co
0.758 0.039 0.859 Co
0.288 0.307 0.630 Co
0.590 0.755 0.634 Co
0.410 0.245 0.366 Co
0.070 0.472 0.868 Co
0.242 0.961 0.141 Co
```



(9)
# Li2CoO3

A geometry-optimized Li2CoO3 structure (PBE with a Hubbard U, the Materials Project database).

Computed properties:
* corrected total energy (MP2020 scheme): -71.60 eV/cell
* final energy: -5.3505 eV per atom

Structure (POSCAR):
```
Li2CoO3
1.0
1.209 -2.434 1.218
4.525 1.232 -1.736
-1.063 4.010 6.220
O Co Li
6 2 4
Direct
0.439 0.236 0.321 O
0.561 0.764 0.679 O
0.226 0.783 0.998 O
0.096 0.230 0.689 O
0.904 0.770 0.311 O
0.774 0.217 0.002 O
0.156 0.994 0.821 Co
0.844 0.006 0.179 Co
0.500 0.000 0.500 Li
0.337 0.502 0.166 Li
0.663 0.498 0.834 Li
0.000 0.500 0.500 Li
```



(10)
# Li3Co4O8

A geometry-optimized Li3Co4O8 structure (PBE with a Hubbard U, the Materials Project database).

Computed properties:
* corrected total energy (MP2020 scheme): -194.96 eV/cell
* final energy: -5.6956 eV per atom

Structure (POSCAR):
```
Li3Co4O8
1.0
-4.040 -2.854 3.008
-2.020 5.145 2.170
-5.305 0.902 -6.267
O Co Li
16 8 6
Direct
0.264 0.275 0.007 O
0.500 0.485 0.228 O
0.500 0.990 0.731 O
0.241 0.776 0.506 O
0.000 0.513 0.755 O
0.264 0.725 0.993 O
0.500 0.515 0.772 O
0.737 0.275 0.007 O
0.000 0.013 0.264 O
0.759 0.224 0.495 O
0.758 0.776 0.505 O
0.500 0.010 0.269 O
0.000 0.987 0.736 O
0.242 0.224 0.495 O
0.000 0.487 0.245 O
0.736 0.725 0.993 O
0.755 0.248 0.253 Co
0.245 0.248 0.253 Co
0.500 0.500 0.000 Co
0.000 0.000 0.500 Co
0.500 0.000 0.500 Co
0.755 0.752 0.747 Co
0.000 0.500 0.000 Co
0.245 0.752 0.747 Co
0.000 0.500 0.500 Li
0.500 0.000 0.000 Li
0.751 0.748 0.251 Li
0.751 0.252 0.748 Li
0.249 0.748 0.252 Li
0.249 0.252 0.749 Li
```



(11)
# LiCo2O4

A geometry-optimized LiCo2O4 structure (PBE with a Hubbard U, the Materials Project database).

Computed properties:
* corrected total energy (MP2020 scheme): -185.25 eV/cell
* final energy: -5.7555 eV per atom

Structure (POSCAR):
```
LiCo2O4
1.0
-2.705 -3.494 -2.023
-0.853 -2.276 5.071
-8.253 5.709 1.175
O Co Li
16 8 4
Direct
0.330 0.252 0.150 O
0.154 0.500 0.350 O
0.330 0.748 0.150 O
0.174 0.000 0.655 O
0.670 0.752 0.650 O
0.670 0.248 0.650 O
0.670 0.752 0.350 O
0.826 0.500 0.155 O
0.154 0.500 0.650 O
0.330 0.252 0.850 O
0.330 0.748 0.850 O
0.174 0.000 0.345 O
0.670 0.248 0.350 O
0.826 0.500 0.845 O
0.846 0.000 0.850 O
0.846 0.000 0.150 O
0.504 0.000 0.755 Co
0.000 0.750 0.250 Co
0.504 0.000 0.245 Co
0.000 0.250 0.250 Co
0.000 0.250 0.750 Co
0.496 0.500 0.745 Co
0.496 0.500 0.255 Co
0.000 0.750 0.750 Co
0.143 0.000 0.000 Li
0.857 0.500 0.500 Li
0.520 0.500 0.000 Li
0.480 0.000 0.500 Li
```



(12)
# Li4Co7O14

A geometry-optimized Li4Co7O14 structure (PBE with a Hubbard U, the Materials Project database).

Computed properties:
* corrected total energy (MP2020 scheme): -161.09 eV/cell
* final energy: -5.6002 eV per atom

Structure (POSCAR):
```
Li4Co7O14
1.0
-2.223 5.497 -1.438
-3.232 -2.348 5.436
7.077 0.612 2.237
Li O Co
4 14 7
Direct
0.621 0.681 0.336 Li
0.077 0.130 0.466 Li
0.584 0.585 0.854 Li
0.206 0.155 0.958 Li
0.154 0.837 0.794 O
0.426 0.125 0.215 O
0.140 0.449 0.634 O
0.985 0.685 0.071 O
0.861 0.176 0.220 O
0.708 0.406 0.651 O
0.281 0.601 0.348 O
0.285 0.977 0.510 O
0.569 0.870 0.775 O
0.996 0.309 0.925 O
0.861 0.556 0.366 O
0.429 0.731 0.067 O
0.573 0.264 0.936 O
0.709 0.025 0.484 O
0.344 0.863 0.280 Co
0.771 0.294 0.427 Co
0.510 0.996 0.003 Co
0.069 0.571 0.857 Co
0.642 0.140 0.713 Co
0.928 0.430 0.143 Co
0.218 0.717 0.573 Co
```